1.
# SnPHO4

A relaxed structure of SnPHO4 (PBE, Materials Project).

## Properties
- volume (Å³/cell) = 374.7
- ΔH_f (0 K) (meV per atom) = -2148
- symmetry = P2_1/c, No. 14
- energy (eV per atom) = -6.414

Lattice parameters (Å, degrees): 4.670 5.893 13.773 90.00 90.00 98.65
Fractional positions:
H  0.412  0.201  0.486
H  0.588  0.799  0.514
H  0.588  0.299  0.986
H  0.412  0.701  0.014
O  0.696  0.044  0.713
O  0.318  0.124  0.591
O  0.803  0.700  0.217
O  0.481  0.257  0.418
O  0.197  0.300  0.783
O  0.304  0.456  0.213
O  0.519  0.243  0.918
O  0.682  0.876  0.409
O  0.318  0.624  0.909
O  0.481  0.757  0.082
O  0.519  0.743  0.582
O  0.197  0.800  0.717
O  0.682  0.376  0.091
O  0.803  0.200  0.283
O  0.696  0.544  0.787
O  0.304  0.956  0.287
P  0.428  0.437  0.849
P  0.572  0.063  0.349
P  0.428  0.937  0.651
P  0.572  0.563  0.151
Sn  0.051  0.608  0.343
Sn  0.949  0.892  0.843
Sn  0.051  0.108  0.157
Sn  0.949  0.392  0.657

=====

2.
# ZnSeO4

A relaxed structure of ZnSeO4 (PBE, Materials Project).

## Properties
- volume (Å³/cell) = 297.2
- ΔH_f (0 K) (meV per atom) = -1261
- symmetry = Pnma, No. 62
- energy (eV per atom) = -4.894

Lattice parameters (Å, degrees): 5.810 7.099 7.205 90.00 90.00 90.00
Fractional positions:
Zn  0.750  0.723  0.312
Zn  0.750  0.777  0.812
Zn  0.250  0.223  0.188
Zn  0.250  0.277  0.688
O  0.250  0.510  0.193
O  0.750  0.490  0.807
O  0.509  0.280  0.486
O  0.509  0.220  0.986
O  0.750  0.010  0.307
O  0.250  0.967  0.300
O  0.250  0.533  0.800
O  0.250  0.990  0.693
O  0.491  0.780  0.014
O  0.750  0.467  0.200
O  0.991  0.220  0.986
O  0.491  0.720  0.514
O  0.750  0.033  0.700
O  0.009  0.720  0.514
O  0.991  0.280  0.486
O  0.009  0.780  0.014
Se  0.250  0.648  0.003
Se  0.250  0.852  0.503
Se  0.750  0.352  0.997
Se  0.750  0.148  0.497

=====

3.
# TiF3

A relaxed structure of TiF3 (PBE, Materials Project).

## Properties
- volume (Å³/cell) = 122.1
- ΔH_f (0 K) (meV per atom) = -3667
- symmetry = R-3c, No. 167
- energy (eV per atom) = -6.730

Lattice parameters (Å, degrees): 5.553 5.553 5.585 60.19 60.19 60.00
Fractional positions:
F  0.250  0.771  0.250
F  0.750  0.229  0.750
F  0.729  0.250  0.250
F  0.271  0.750  0.750
F  0.771  0.729  0.250
F  0.229  0.271  0.750
Ti  0.500  0.500  0.500
Ti  0.000  0.000  0.000

=====

4.
# GdScS3

A relaxed structure of GdScS3 (PBE, Materials Project).

## Properties
- volume (Å³/cell) = 434.5
- ΔH_f (0 K) (meV per atom) = -2298
- symmetry = Pnma, No. 62
- energy (eV per atom) = -8.560

Lattice parameters (Å, degrees): 6.430 7.073 9.553 90.00 90.00 90.00
Fractional positions:
Sc  0.500  0.000  0.500
Sc  0.000  0.500  0.500
Sc  0.500  0.000  0.000
Sc  0.000  0.500  0.000
S  0.177  0.815  0.069
S  0.823  0.185  0.931
S  0.177  0.815  0.431
S  0.677  0.685  0.931
S  0.323  0.315  0.431
S  0.323  0.315  0.069
S  0.823  0.185  0.569
S  0.677  0.685  0.569
S  0.860  0.455  0.250
S  0.140  0.545  0.750
S  0.360  0.045  0.750
S  0.640  0.955  0.250
Gd  0.540  0.400  0.750
Gd  0.460  0.600  0.250
Gd  0.960  0.900  0.750
Gd  0.040  0.100  0.250

=====

5.
# ErTlP2Se6

A relaxed structure of ErTlP2Se6 (PBE, Materials Project).

## Properties
- volume (Å³/cell) = 537.0
- ΔH_f (0 K) (meV per atom) = -898
- symmetry = P2_1, No. 4
- energy (eV per atom) = -4.488

Lattice parameters (Å, degrees): 7.598 6.825 10.359 88.81 90.00 90.00
Fractional positions:
Se  0.636  0.873  0.516
Se  0.309  0.569  0.669
Se  0.136  0.127  0.484
Se  0.413  0.094  0.245
Se  0.637  0.651  0.010
Se  0.942  0.900  0.234
Se  0.913  0.906  0.755
Se  0.809  0.431  0.331
Se  0.442  0.100  0.766
Se  0.137  0.349  0.990
Se  0.809  0.425  0.668
Se  0.309  0.575  0.332
P  0.230  0.311  0.795
P  0.010  0.187  0.675
P  0.730  0.689  0.205
P  0.510  0.813  0.325
Tl  0.721  0.181  0.008
Tl  0.221  0.819  0.992
Er  0.498  0.284  0.502
Er  0.998  0.716  0.498

=====

6.
# AgH9C2N2O2

A relaxed structure of AgH9C2N2O2 (PBE, Materials Project).

## Properties
- volume (Å³/cell) = 625.8
- ΔH_f (0 K) (meV per atom) = -555
- symmetry = P2_1/c, No. 14
- energy (eV per atom) = -5.368

Lattice parameters (Å, degrees): 6.337 8.184 12.630 90.00 90.00 107.17
Fractional positions:
N  0.232  0.977  0.133
N  0.268  0.023  0.633
N  0.312  0.281  0.412
N  0.812  0.281  0.088
N  0.732  0.977  0.367
N  0.188  0.719  0.912
N  0.768  0.023  0.867
N  0.688  0.719  0.588
H  0.442  0.602  0.232
H  0.322  0.768  0.961
H  0.681  0.593  0.603
H  0.706  0.441  0.888
H  0.319  0.407  0.397
H  0.822  0.768  0.539
H  0.745  0.946  0.934
H  0.794  0.559  0.388
H  0.255  0.054  0.066
H  0.080  0.886  0.126
H  0.650  0.086  0.873
H  0.476  0.438  0.148
H  0.678  0.232  0.039
H  0.450  0.283  0.456
H  0.150  0.086  0.627
H  0.050  0.717  0.956
H  0.181  0.593  0.897
H  0.950  0.283  0.044
H  0.350  0.914  0.127
H  0.058  0.398  0.732
H  0.420  0.114  0.626
H  0.524  0.562  0.852
H  0.245  0.946  0.566
H  0.558  0.398  0.768
H  0.550  0.717  0.544
H  0.206  0.441  0.612
H  0.024  0.562  0.648
H  0.294  0.559  0.112
H  0.580  0.886  0.374
H  0.976  0.438  0.352
H  0.920  0.114  0.874
H  0.942  0.602  0.268
H  0.850  0.914  0.373
H  0.178  0.232  0.461
H  0.755  0.054  0.434
H  0.819  0.407  0.103
O  0.671  0.327  0.589
O  0.171  0.327  0.911
O  0.900  0.166  0.561
O  0.400  0.166  0.939
O  0.829  0.673  0.089
O  0.600  0.834  0.061
O  0.100  0.834  0.439
O  0.329  0.673  0.411
Ag  0.227  0.874  0.773
Ag  0.773  0.126  0.227
Ag  0.273  0.126  0.273
Ag  0.727  0.874  0.727
C  0.547  0.434  0.851
C  0.859  0.300  0.595
C  0.141  0.700  0.405
C  0.359  0.300  0.905
C  0.641  0.700  0.095
C  0.047  0.434  0.649
C  0.953  0.566  0.351
C  0.453  0.566  0.149

=====

7.
# Sr2LiTaN3F

A relaxed structure of Sr2LiTaN3F (PBE, Materials Project).

## Properties
- volume (Å³/cell) = 982.5
- ΔH_f (0 K) (meV per atom) = -1666
- symmetry = Pbca, No. 61
- energy (eV per atom) = -7.117

Lattice parameters (Å, degrees): 5.666 10.837 16.003 90.00 90.00 90.00
Fractional positions:
Ta  0.665  0.656  0.365
Ta  0.665  0.156  0.135
Ta  0.835  0.156  0.635
Ta  0.835  0.656  0.865
Ta  0.165  0.844  0.365
Ta  0.165  0.344  0.135
Ta  0.335  0.344  0.635
Ta  0.335  0.844  0.865
N  0.178  0.680  0.887
N  0.252  0.993  0.425
N  0.822  0.320  0.113
N  0.806  0.618  0.748
N  0.694  0.618  0.248
N  0.178  0.180  0.613
N  0.306  0.382  0.752
N  0.678  0.320  0.613
N  0.678  0.820  0.887
N  0.322  0.180  0.113
N  0.194  0.882  0.248
N  0.248  0.993  0.925
N  0.248  0.493  0.575
N  0.322  0.680  0.387
N  0.252  0.493  0.075
N  0.748  0.007  0.575
N  0.748  0.507  0.925
N  0.194  0.382  0.252
N  0.306  0.882  0.748
N  0.822  0.820  0.387
N  0.752  0.507  0.425
N  0.806  0.118  0.752
N  0.752  0.007  0.075
N  0.694  0.118  0.252
Sr  0.282  0.130  0.784
Sr  0.293  0.950  0.585
Sr  0.218  0.130  0.284
Sr  0.218  0.630  0.216
Sr  0.782  0.870  0.716
Sr  0.718  0.370  0.284
Sr  0.207  0.450  0.415
Sr  0.718  0.870  0.216
Sr  0.207  0.950  0.085
Sr  0.793  0.050  0.915
Sr  0.793  0.550  0.585
Sr  0.707  0.550  0.085
Sr  0.782  0.370  0.784
Sr  0.707  0.050  0.415
Sr  0.282  0.630  0.716
Sr  0.293  0.450  0.915
F  0.038  0.255  0.919
F  0.962  0.245  0.419
F  0.538  0.245  0.919
F  0.962  0.745  0.081
F  0.462  0.755  0.081
F  0.038  0.755  0.581
F  0.462  0.255  0.419
F  0.538  0.745  0.581
Li  0.788  0.335  0.979
Li  0.788  0.835  0.521
Li  0.712  0.835  0.021
Li  0.712  0.335  0.479
Li  0.288  0.165  0.979
Li  0.212  0.665  0.021
Li  0.212  0.165  0.479
Li  0.288  0.665  0.521

=====

8.
# Na6Y2Ga2Si3S3O24

A relaxed structure of Na6Y2Ga2Si3S3O24 (PBE, Materials Project).

## Properties
- volume (Å³/cell) = 1666.8
- ΔH_f (0 K) (meV per atom) = -2572
- symmetry = P1, No. 1
- energy (eV per atom) = -6.519

Lattice parameters (Å, degrees): 9.229 9.089 22.859 91.01 89.90 119.61
Fractional positions:
O  0.361  0.876  0.579
O  0.342  0.479  0.089
O  0.677  0.522  0.245
O  0.188  0.200  0.695
O  0.838  0.027  0.090
O  0.014  0.830  0.689
O  0.461  0.330  0.035
O  0.334  0.844  0.259
O  0.804  0.052  0.806
O  0.552  0.689  0.966
O  0.794  0.974  0.690
O  0.847  0.276  0.525
O  0.847  0.800  0.585
O  0.348  0.461  0.357
O  0.830  0.996  0.403
O  0.204  0.976  0.190
O  0.131  0.484  0.865
O  0.209  0.028  0.585
O  0.489  0.140  0.632
O  0.806  0.822  0.914
O  0.677  0.177  0.735
O  0.490  0.852  0.088
O  0.874  0.519  0.418
O  0.467  0.345  0.143
O  0.001  0.169  0.918
O  0.654  0.518  0.917
O  0.187  0.027  0.306
O  0.171  0.188  0.407
O  0.866  0.528  0.135
O  0.185  0.501  0.266
O  0.647  0.504  0.645
O  0.122  0.640  0.364
O  0.031  0.831  0.407
O  0.843  0.349  0.916
O  0.773  0.799  0.200
O  0.542  0.661  0.860
O  0.641  0.140  0.143
O  0.651  0.161  0.423
O  0.319  0.465  0.748
O  0.681  0.133  0.026
O  0.563  0.863  0.474
O  0.142  0.699  0.469
O  0.355  0.881  0.869
O  0.471  0.313  0.740
O  0.816  0.518  0.743
O  0.978  0.148  0.592
O  0.234  0.206  0.801
O  0.808  0.779  0.304
O  0.834  0.328  0.249
O  0.473  0.335  0.416
O  0.318  0.874  0.974
O  0.520  0.654  0.583
O  0.521  0.830  0.749
O  0.124  0.449  0.982
O  0.300  0.441  0.462
O  0.876  0.359  0.641
O  0.139  0.498  0.578
O  0.473  0.140  0.922
O  0.054  0.255  0.192
O  0.878  0.562  0.029
O  0.692  0.504  0.526
O  0.964  0.177  0.304
O  0.206  0.173  0.087
O  0.532  0.679  0.259
O  0.169  0.968  0.915
O  0.995  0.810  0.089
O  0.147  0.662  0.742
O  0.505  0.872  0.359
O  0.130  0.641  0.086
O  0.482  0.181  0.252
O  0.980  0.782  0.808
O  0.451  0.136  0.524
Na  0.333  0.664  0.664
Na  0.028  0.689  0.593
Na  0.982  0.360  0.741
Na  0.975  0.989  0.505
Na  0.677  0.964  0.583
Na  0.667  0.324  0.818
Na  0.679  0.348  0.340
Na  0.987  0.016  0.000
Na  0.345  0.034  0.415
Na  0.328  0.674  0.178
Na  0.708  0.044  0.908
Na  0.957  0.294  0.422
Na  0.020  0.326  0.084
Na  0.317  0.974  0.101
Na  0.971  0.649  0.896
Na  0.356  0.363  0.257
Na  0.642  0.644  0.733
Na  0.636  0.999  0.266
Si  0.031  0.363  0.919
Si  0.638  0.967  0.415
Si  0.992  0.704  0.744
Si  0.665  0.034  0.087
Si  0.010  0.321  0.253
Si  0.294  0.001  0.253
Si  0.695  0.009  0.744
Si  0.964  0.321  0.586
Si  0.672  0.608  0.584
Y  0.339  0.661  0.020
Y  0.318  0.668  0.807
Y  0.349  0.658  0.520
Y  0.674  0.333  0.984
Y  0.996  0.006  0.158
Y  0.000  0.018  0.841
S  0.039  0.674  0.415
S  0.373  0.333  0.089
S  0.636  0.670  0.913
S  0.328  0.967  0.920
S  0.328  0.360  0.409
S  0.700  0.695  0.253
S  0.962  0.634  0.086
S  0.377  0.051  0.582
S  0.303  0.290  0.744
Ga  0.994  0.017  0.345
Ga  0.694  0.349  0.681
Ga  0.320  0.693  0.317
Ga  0.680  0.308  0.496
Ga  0.663  0.296  0.200
Ga  0.962  0.974  0.647